Entry 1:
{"formula": "RbSr2MgNb3O10", "functional": "PBE", "state": "relaxed", "cell": [[-2.9146, 0.3027, 2.8288], [1.0389, -3.6569, 1.4617], [10.8081, 7.2132, 10.3642]], "species": ["Rb", "Sr", "Sr", "Mg", "Nb", "Nb", "Nb", "O", "O", "O", "O", "O", "O", "O", "O", "O", "O"], "frac_coords": [[0.5000, 0.5000, 0.5000], [0.5000, 0.5000, 0.1879], [0.5000, 0.5000, 0.8121], [0.5000, 0.5000, 0.0000], [0.0000, 0.0000, 0.0000], [0.0000, 0.0000, 0.3029], [0.0000, 0.0000, 0.6971], [0.0000, 0.0000, 0.5898], [0.0000, 0.0000, 0.4102], [0.5000, 0.0000, 0.7259], [0.0000, 0.5000, 0.7259], [0.5000, 0.0000, 0.2741], [0.0000, 0.5000, 0.2741], [0.0000, 0.5000, 0.0000], [0.5000, 0.0000, 0.0000], [0.0000, 0.0000, 0.1210], [0.0000, 0.0000, 0.8790]], "final_energy_ev_per_cell": -126.4, "relative_energy_mev_per_atom": 156, "formation_enthalpy_0k_ev_per_fu": -47.5}

---

Entry 2:
{"formula": "MoW2Se2S4", "functional": "PBE", "state": "relaxed", "cell": [[1.6165, -2.7998, 0.0000], [1.6165, 2.7998, 0.0000], [0.0000, 0.0000, 29.6830]], "species": ["Mo", "W", "W", "Se", "Se", "S", "S", "S", "S"], "frac_coords": [[0.0000, 0.0000, 0.1156], [0.0000, 0.0000, 0.5783], [0.3333, 0.6667, 0.3470], [0.0000, 0.0000, 0.4048], [0.0000, 0.0000, 0.2891], [0.3333, 0.6667, 0.0633], [0.3333, 0.6667, 0.5259], [0.3333, 0.6667, 0.1679], [0.3333, 0.6667, 0.6308]], "final_energy_ev_per_cell": -66.9, "relative_energy_mev_per_atom": 23, "formation_enthalpy_0k_ev_per_fu": -8.6}

---

Entry 3:
{"formula": "BeH2O2", "functional": "PBE", "state": "relaxed", "cell": [[-2.8752, 3.8679, -0.4027], [-0.9202, -1.1641, -4.6115], [-4.5260, -3.1867, 1.7075]], "species": ["Be", "Be", "Be", "Be", "H", "H", "H", "H", "H", "H", "H", "H", "O", "O", "O", "O", "O", "O", "O", "O"], "frac_coords": [[0.5753, 0.1718, 0.8748], [0.0753, 0.3282, 0.1252], [0.9247, 0.8282, 0.3748], [0.4247, 0.6718, 0.6252], [0.4975, 0.4133, 0.2026], [0.9975, 0.0867, 0.7974], [0.0025, 0.5867, 0.7026], [0.5025, 0.9133, 0.2974], [0.6928, 0.7543, 0.9408], [0.1928, 0.7457, 0.0592], [0.8072, 0.2457, 0.4408], [0.3072, 0.2543, 0.5592], [0.4105, 0.2661, 0.1100], [0.9105, 0.2339, 0.8900], [0.0895, 0.7339, 0.6100], [0.5895, 0.7661, 0.3900], [0.5345, 0.8334, 0.8568], [0.0345, 0.6666, 0.1432], [0.9655, 0.1666, 0.3568], [0.4655, 0.3334, 0.6432]], "e_ij_max_c_m2": 0.046, "final_energy_ev_per_cell": -115.6, "relative_energy_mev_per_atom": 30, "formation_enthalpy_0k_ev_per_fu": -9.9}

---

Entry 4:
{"formula": "UH2O4", "functional": "PBE", "state": "relaxed", "cell": [[-3.3026, 4.5043, 0.4103], [-0.3656, -5.4424, 1.2691], [2.6466, 1.3455, 6.5325]], "species": ["U", "U", "H", "H", "H", "H", "O", "O", "O", "O", "O", "O", "O", "O"], "frac_coords": [[0.2431, 0.7569, 0.4978], [0.7569, 0.2431, 0.9978], [0.5728, 0.4272, 0.6332], [0.4272, 0.5728, 0.1332], [0.9110, 0.0890, 0.3624], [0.0890, 0.9110, 0.8624], [0.0835, 0.9165, 0.3959], [0.4029, 0.5971, 0.6011], [0.9165, 0.0835, 0.8959], [0.5971, 0.4029, 0.1011], [0.8156, 0.1844, 0.3523], [0.6685, 0.3315, 0.6390], [0.1844, 0.8156, 0.8523], [0.3315, 0.6685, 0.1390]], "final_energy_ev_per_cell": -105.7, "relative_energy_mev_per_atom": 41, "formation_enthalpy_0k_ev_per_fu": -17.8}

---

Entry 5:
{"formula": "CaTaTiP3O12", "functional": "PBE", "state": "relaxed", "cell": [[8.9020, -0.1224, -0.0788], [4.5968, 7.6106, -0.0816], [4.6022, 2.5503, 7.1861]], "species": ["Ca", "Ca", "Ta", "Ta", "Ti", "Ti", "P", "P", "P", "P", "P", "P", "O", "O", "O", "O", "O", "O", "O", "O", "O", "O", "O", "O", "O", "O", "O", "O", "O", "O", "O", "O", "O", "O", "O", "O"], "frac_coords": [[0.0019, 0.0022, 0.0021], [0.5026, 0.5024, 0.5027], [0.3549, 0.3550, 0.3553], [0.8551, 0.8547, 0.8550], [0.1457, 0.1460, 0.1452], [0.6462, 0.6460, 0.6463], [0.0386, 0.4568, 0.7510], [0.4568, 0.7517, 0.0387], [0.7515, 0.0385, 0.4571], [0.2518, 0.9566, 0.5387], [0.5386, 0.2517, 0.9570], [0.9568, 0.5386, 0.2516], [0.1188, 0.5090, 0.2977], [0.2977, 0.1193, 0.5091], [0.0606, 0.2736, 0.9142], [0.5092, 0.2983, 0.1183], [0.0090, 0.6190, 0.7975], [0.2259, 0.4392, 0.5852], [0.2737, 0.9148, 0.0609], [0.4393, 0.5850, 0.2261], [0.2010, 0.9924, 0.3814], [0.5853, 0.2260, 0.4396], [0.0853, 0.9392, 0.7259], [0.3813, 0.1999, 0.9932], [0.6187, 0.7980, 0.0087], [0.9147, 0.0604, 0.2738], [0.4149, 0.7735, 0.5618], [0.7977, 0.0087, 0.6188], [0.5615, 0.4148, 0.7737], [0.7262, 0.0853, 0.9392], [0.7736, 0.5613, 0.4147], [0.9926, 0.3814, 0.2003], [0.4928, 0.6997, 0.8816], [0.9390, 0.7260, 0.0852], [0.6992, 0.8814, 0.4933], [0.8815, 0.4932, 0.6992]], "final_energy_ev_per_cell": -286.5, "formation_enthalpy_0k_ev_per_fu": -54.1}

---

Entry 6:
{"formula": "SiO2", "functional": "PBE", "state": "relaxed", "cell": [[-8.7371, -10.2822, 21.0439], [6.5589, -2.6849, 1.4113], [4.7231, 3.9115, 3.8721]], "species": ["Si", "Si", "Si", "Si", "Si", "Si", "Si", "Si", "Si", "Si", "Si", "Si", "Si", "Si", "Si", "Si", "Si", "Si", "Si", "Si", "Si", "Si", "Si", "Si", "Si", "Si", "Si", "Si", "Si", "Si", "Si", "Si", "O", "O", "O", "O", "O", "O", "O", "O", "O", "O", "O", "O", "O", "O", "O", "O", "O", "O", "O", "O", "O", "O", "O", "O", "O", "O", "O", "O", "O", "O", "O", "O", "O", "O", "O", "O", "O", "O", "O", "O", "O", "O", "O", "O", "O", "O", "O", "O", "O", "O", "O", "O", "O", "O", "O", "O", "O", "O", "O", "O", "O", "O", "O", "O"], "frac_coords": [[0.7047, 0.7350, 0.2599], [0.7953, 0.2350, 0.2599], [0.2953, 0.2650, 0.7401], [0.2047, 0.7650, 0.7401], [0.8214, 0.8724, 0.1570], [0.6786, 0.3724, 0.1570], [0.1786, 0.1276, 0.8430], [0.3214, 0.6276, 0.8430], [0.5681, 0.1091, 0.3095], [0.9319, 0.6091, 0.3095], [0.4319, 0.8909, 0.6905], [0.0681, 0.3909, 0.6905], [0.7959, 0.2231, 0.6949], [0.7041, 0.7231, 0.6949], [0.2041, 0.7769, 0.3051], [0.2959, 0.2769, 0.3051], [0.5742, 0.3958, 0.6693], [0.9258, 0.8958, 0.6693], [0.4258, 0.6042, 0.3307], [0.0742, 0.1042, 0.3307], [0.4556, 0.2635, 0.7892], [0.0444, 0.7635, 0.7892], [0.5444, 0.7365, 0.2108], [0.9556, 0.2365, 0.2108], [0.6782, 0.0882, 0.7984], [0.8218, 0.5882, 0.7984], [0.3218, 0.9118, 0.2016], [0.1782, 0.4118, 0.2016], [0.4521, 0.2428, 0.2266], [0.0479, 0.7428, 0.2266], [0.5479, 0.7572, 0.7734], [0.9521, 0.2572, 0.7734], [0.8145, 0.9995, 0.8995], [0.6855, 0.4995, 0.8995], [0.1855, 0.0005, 0.1005], [0.3145, 0.5005, 0.1005], [0.7698, 0.7133, 0.2563], [0.7302, 0.2133, 0.2563], [0.2302, 0.2867, 0.7437], [0.2698, 0.7867, 0.7437], [0.8234, 0.4217, 0.7068], [0.6766, 0.9217, 0.7068], [0.1766, 0.5783, 0.2932], [0.3234, 0.0783, 0.2932], [0.6254, 0.2378, 0.7343], [0.8746, 0.7378, 0.7343], [0.3746, 0.7622, 0.2657], [0.1254, 0.2622, 0.2657], [0.6840, 0.9558, 0.0561], [0.8160, 0.4558, 0.0561], [0.3160, 0.0442, 0.9439], [0.1840, 0.5442, 0.9439], [0.5207, 0.2554, 0.7818], [0.9793, 0.7554, 0.7818], [0.4793, 0.7446, 0.2182], [0.0207, 0.2446, 0.2182], [0.5172, 0.2741, 0.2176], [0.9828, 0.7741, 0.2176], [0.4828, 0.7259, 0.7824], [0.0172, 0.2259, 0.7824], [0.5637, 0.9858, 0.5682], [0.9363, 0.4858, 0.5682], [0.4363, 0.0142, 0.4318], [0.0637, 0.5142, 0.4318], [0.5786, 0.5708, 0.7497], [0.9214, 0.0708, 0.7497], [0.4214, 0.4292, 0.2503], [0.0786, 0.9292, 0.2503], [0.6853, 0.7291, 0.4771], [0.8147, 0.2291, 0.4771], [0.3147, 0.2709, 0.5229], [0.1853, 0.7709, 0.5229], [0.6782, 0.5361, 0.2498], [0.8218, 0.0361, 0.2498], [0.3218, 0.4639, 0.7502], [0.1782, 0.9639, 0.7502], [0.7307, 0.2416, 0.6980], [0.7693, 0.7416, 0.6980], [0.2693, 0.7584, 0.3020], [0.2307, 0.2584, 0.3020], [0.4337, 0.2495, 0.0077], [0.0663, 0.7495, 0.0077], [0.5663, 0.7505, 0.9923], [0.9337, 0.2505, 0.9923], [0.5663, 0.9410, 0.2226], [0.9337, 0.4410, 0.2226], [0.4337, 0.0590, 0.7774], [0.0663, 0.5590, 0.7774], [0.6236, 0.2394, 0.2263], [0.8764, 0.7394, 0.2263], [0.3764, 0.7606, 0.7737], [0.1236, 0.2606, 0.7737], [0.5673, 0.5186, 0.4120], [0.9327, 0.0186, 0.4120], [0.4327, 0.4814, 0.5880], [0.0673, 0.9814, 0.5880]], "final_energy_ev_per_cell": -755.6, "formation_enthalpy_0k_ev_per_fu": -9.7}